# PBE Mg16Al12Bi, relaxed
# energy above the lowest structure with this stoichiometry = 23 meV per atom
# energy of formation from the pure elements = 0.017 eV/atom
data_Mg16Al12Bi
_chemical_formula_sum 'Mg32 Al24 Bi2'
_symmetry_space_group_name_H-M 'I -4 3 m'
_symmetry_Int_Tables_number 217
_symmetry_space_group_name_Hall 'I -4 2 3'
_cell_length_a 10.606
_cell_length_b 10.606
_cell_length_c 10.606
_cell_angle_alpha 90.00
_cell_angle_beta 90.00
_cell_angle_gamma 90.00
loop_
_atom_site_label
_atom_site_fract_x
_atom_site_fract_y
_atom_site_fract_z
_atom_site_occupancy
Mg1 0.043 0.358 0.358 1
Mg2 0.174 0.174 0.826 1
Al1 0.092 0.092 0.280 1
Bi1 0.000 0.000 0.000 1